# 1
VASP calculation (r²SCAN) on a geometry-optimized B5H6Br structure.

Unit cell a=7.465 b=11.994 c=13.487 alpha=68.47 beta=90.00 gamma=90.00
Fractional positions:
H 0.328 0.463 0.318
H 0.787 0.763 0.703
H 0.005 0.475 0.868
H 0.799 0.398 0.168
H 0.433 0.827 0.482
H 0.193 0.106 0.566
H 0.882 0.332 0.851
H 0.213 0.237 0.297
H 0.713 0.263 0.703
H 0.075 0.180 0.751
H 0.592 0.079 0.241
H 0.495 0.975 0.868
H 0.288 0.547 0.724
H 0.136 0.835 0.596
H 0.908 0.579 0.241
H 0.636 0.665 0.404
H 0.011 0.420 0.619
H 0.212 0.047 0.724
H 0.788 0.953 0.276
H 0.989 0.580 0.381
H 0.092 0.421 0.759
H 0.575 0.320 0.249
H 0.933 0.673 0.518
H 0.701 0.898 0.168
H 0.299 0.102 0.832
H 0.567 0.173 0.518
H 0.925 0.820 0.249
H 0.287 0.737 0.297
H 0.118 0.668 0.149
H 0.712 0.453 0.276
H 0.511 0.080 0.381
H 0.672 0.537 0.682
H 0.172 0.963 0.318
H 0.505 0.025 0.132
H 0.489 0.920 0.619
H 0.995 0.525 0.132
H 0.618 0.832 0.851
H 0.382 0.168 0.149
H 0.067 0.327 0.482
H 0.425 0.680 0.751
H 0.201 0.602 0.832
H 0.307 0.606 0.566
H 0.408 0.921 0.759
H 0.807 0.894 0.434
H 0.828 0.037 0.682
H 0.364 0.335 0.596
H 0.864 0.165 0.404
H 0.693 0.394 0.434
B 0.579 0.814 0.208
B 0.386 0.939 0.172
B 0.896 0.688 0.710
B 0.476 0.862 0.391
B 0.024 0.362 0.391
B 0.796 0.395 0.367
B 0.886 0.561 0.828
B 0.421 0.186 0.792
B 0.524 0.138 0.609
B 0.614 0.061 0.828
B 0.204 0.605 0.633
B 0.823 0.548 0.705
B 0.932 0.430 0.800
B 0.722 0.348 0.264
B 0.177 0.452 0.295
B 0.323 0.952 0.295
B 0.486 0.984 0.667
B 0.921 0.314 0.208
B 0.222 0.152 0.736
B 0.104 0.312 0.290
B 0.677 0.048 0.705
B 0.296 0.105 0.633
B 0.114 0.439 0.172
B 0.014 0.484 0.667
B 0.079 0.686 0.792
B 0.986 0.516 0.333
B 0.611 0.767 0.348
B 0.778 0.848 0.264
B 0.389 0.233 0.652
B 0.068 0.570 0.200
B 0.514 0.016 0.333
B 0.432 0.070 0.200
B 0.568 0.930 0.800
B 0.704 0.895 0.367
B 0.604 0.188 0.710
B 0.111 0.733 0.652
B 0.396 0.812 0.290
B 0.976 0.638 0.609
B 0.278 0.652 0.736
B 0.889 0.267 0.348
Br 0.224 0.948 0.056
Br 0.088 0.786 0.877
Br 0.588 0.714 0.123
Br 0.776 0.052 0.944
Br 0.724 0.552 0.944
Br 0.912 0.214 0.123
Br 0.276 0.448 0.056
Br 0.412 0.286 0.877

Values from the calculation:
energy of formation: -152 meV per atom

---

# 2
VASP calculation (r²SCAN) on a geometry-optimized BPBr6 structure.

Unit cell a=7.200 b=11.269 c=12.537 alpha=90.00 beta=90.00 gamma=90.00
Fractional positions:
P 0.699 0.750 0.899
P 0.199 0.250 0.601
P 0.801 0.750 0.399
P 0.301 0.250 0.101
Br 0.795 0.250 0.505
Br 0.733 0.905 0.494
Br 0.295 0.750 0.995
Br 0.388 0.250 0.735
Br 0.602 0.102 0.228
Br 0.205 0.750 0.495
Br 0.398 0.602 0.772
Br 0.612 0.750 0.265
Br 0.267 0.095 0.506
Br 0.898 0.398 0.728
Br 0.398 0.898 0.772
Br 0.888 0.750 0.765
Br 0.767 0.905 0.994
Br 0.705 0.250 0.005
Br 0.102 0.602 0.272
Br 0.233 0.405 0.006
Br 0.102 0.898 0.272
Br 0.233 0.095 0.006
Br 0.898 0.102 0.728
Br 0.112 0.250 0.235
Br 0.602 0.398 0.228
Br 0.733 0.595 0.494
Br 0.767 0.595 0.994
Br 0.267 0.405 0.506
B 0.069 0.750 0.356
B 0.931 0.250 0.644
B 0.431 0.750 0.856
B 0.569 0.250 0.144

Values from the calculation:
energy of formation: -537 meV per atom

---

- Which of these has the lowest energy of formation?
  BPBr6